La2S3 (meta-GGA r2SCAN, optimized geometry); E_tot = -19.207 eV per atom; formation enthalpy at 0 K = -2489 meV/atom
1.0
10.525 -4.699 8.782
0.623 0.160 14.477
-8.225 -3.340 -11.454
La S
16 24
Direct
0.165 0.165 0.000
0.875 0.505 0.130
0.180 0.298 0.400
0.585 0.085 0.500
0.897 0.779 0.600
0.375 0.745 0.870
0.221 0.820 0.118
0.495 0.625 0.370
0.915 0.415 0.500
0.255 0.125 0.630
0.702 0.103 0.882
0.835 0.835 0.000
0.529 0.147 0.100
0.853 0.952 0.382
0.570 0.471 0.618
0.048 0.430 0.900
0.072 0.827 0.611
0.861 0.253 0.747
0.889 0.136 0.892
0.506 0.113 0.253
0.244 0.997 0.108
0.678 0.789 0.255
0.216 0.461 0.389
0.534 0.423 0.745
0.403 0.151 0.588
0.185 0.597 0.749
0.211 0.466 0.889
0.848 0.436 0.251
0.577 0.322 0.111
0.564 0.815 0.412
0.003 0.111 0.247
0.864 0.756 0.753
0.747 0.494 0.607
0.539 0.928 0.755
0.173 0.784 0.245
0.565 0.814 0.912
0.902 0.653 0.088
0.887 0.139 0.393
0.347 0.435 0.249
0.186 0.098 0.751